No. 1
LiCuPO4 | PBE | relaxed

Output
space group: Pbcn (60)
calculated formation energy: -2.14 eV/atom
MP2020-corrected energy: -6.599 eV/atom
crystal system: orthorhombic

```
LiCuPO4
1.0
4.267 0.000 0.000
0.000 15.004 0.000
0.000 0.000 4.583
Li Cu P O
4 4 4 16
Cartesian
0.000 3.707 1.146
0.000 11.297 3.437
2.133 3.795 3.437
2.133 11.209 1.146
0.000 1.066 3.437
0.000 13.938 1.146
2.133 6.436 1.146
2.133 8.568 3.437
0.000 5.798 3.437
0.000 9.206 1.146
2.133 1.704 1.146
2.133 13.300 3.437
0.811 4.914 2.442
0.811 10.090 0.151
1.000 6.685 4.226
1.000 8.319 1.934
1.134 0.817 1.934
1.134 14.187 4.226
1.322 2.588 0.151
1.322 12.417 2.442
2.945 2.588 2.141
2.945 12.417 4.432
3.133 0.817 0.357
3.133 14.187 2.649
3.267 6.685 2.649
3.267 8.319 0.357
3.456 4.914 4.432
3.456 10.090 2.141
```

=====

No. 2
BaSrMg6O8 | PBE | relaxed

Output
space group: P4/mmm (123)
calculated formation energy: -2.51 eV/atom
MP2020-corrected energy: -5.813 eV/atom
crystal system: tetragonal

```
BaSrMg6O8
1.0
4.744 0.000 0.000
0.000 4.744 0.000
0.000 0.000 9.479
Ba Sr Mg O
1 1 6 8
Cartesian
0.000 0.000 0.000
0.000 0.000 4.740
0.000 2.372 2.471
0.000 2.372 7.009
2.372 0.000 2.471
2.372 0.000 7.009
2.372 2.372 0.000
2.372 2.372 4.740
0.000 0.000 2.463
0.000 0.000 7.017
0.000 2.372 0.000
0.000 2.372 4.740
2.372 0.000 0.000
2.372 0.000 4.740
2.372 2.372 2.450
2.372 2.372 7.029
```

=====

No. 3
Li2Ti3SbO8 | PBE | relaxed

Output
space group: P6_3mc (186)
calculated formation energy: -2.90 eV/atom
MP2020-corrected energy: -7.985 eV/atom
crystal system: hexagonal

```
Li2Ti3SbO8
1.0
5.997 0.000 0.000
-2.999 5.194 0.000
0.000 0.000 10.424
Li Ti Sb O
4 6 2 16
Cartesian
0.000 0.000 0.000
0.000 0.000 5.212
0.000 3.463 4.139
2.999 1.731 9.352
0.000 1.774 7.547
-1.462 4.307 7.547
1.536 0.887 2.335
1.462 4.307 7.547
4.461 0.887 2.335
2.999 3.420 2.335
0.000 3.463 0.099
2.999 1.731 5.311
0.000 0.000 3.319
0.000 0.000 8.531
-1.386 2.662 8.620
0.000 1.606 1.165
-1.608 4.391 1.165
1.391 0.803 6.378
0.000 3.463 6.436
1.386 2.662 8.620
0.000 5.063 8.620
2.999 0.130 3.408
1.612 2.532 3.408
2.999 1.731 1.224
1.608 4.391 1.165
4.606 0.803 6.378
2.999 3.587 6.378
4.385 2.532 3.408
```

=====

No. 4
BeSe | PBE | relaxed

Output
space group: Fm-3m (225)
calculated formation energy: -0.48 eV/atom
MP2020-corrected energy: -4.102 eV/atom
crystal system: cubic

```
BeSe
1.0
0.000 2.462 2.462
2.462 0.000 2.462
2.462 2.462 0.000
Be Se
1 1
Cartesian
0.000 0.000 0.000
2.462 2.462 2.462
```

=====

No. 5
NaMg14Sn | PBE | relaxed

Output
space group: P-6m2 (187)
calculated formation energy: 0.00 eV/atom
crystal system: hexagonal

```
NaMg14Sn
1.0
6.369 0.000 0.000
-3.184 5.515 0.000
0.000 0.000 10.673
Na Mg Sn
1 14 1
Cartesian
0.000 0.000 0.000
-1.581 2.764 0.000
0.000 1.854 2.673
0.000 1.854 8.000
-1.579 4.589 2.673
-1.579 4.589 8.000
1.581 2.764 0.000
0.000 5.502 0.000
3.184 0.007 5.337
1.598 2.754 5.337
1.579 4.589 2.673
1.579 4.589 8.000
3.184 1.838 2.644
3.184 1.838 8.029
4.770 2.754 5.337
0.000 0.000 5.337
```

=====

No. 6
TlNi | PBE | relaxed

Output
space group: P6_3/mmc (194)
calculated formation energy: 0.23 eV/atom
crystal system: hexagonal

```
TlNi
1.0
4.169 0.000 0.000
-2.085 3.611 0.000
0.000 0.000 5.056
Tl Ni
2 2
Cartesian
0.000 2.407 1.264
2.085 1.204 3.792
0.000 0.000 0.000
0.000 0.000 2.528
```

=====

No. 7
Ho2Si3Rh | PBE | relaxed

Output
space group: P6_3/mmc (194)
calculated formation energy: -0.93 eV/atom
crystal system: hexagonal

```
Ho2Si3Rh
1.0
8.161 0.000 0.000
-4.080 7.067 0.000
0.000 0.000 7.859
Ho Si Rh
8 12 4
Cartesian
0.000 0.000 1.965
0.000 0.000 5.894
-1.930 3.597 1.965
1.930 3.597 1.965
0.000 6.941 1.965
4.080 0.127 5.894
2.150 3.470 5.894
6.011 3.470 5.894
0.000 2.358 3.935
0.000 2.358 7.854
-2.038 5.888 3.935
-2.038 5.888 7.854
2.042 1.179 0.005
2.042 1.179 3.924
2.038 5.888 3.935
2.038 5.888 7.854
6.118 1.179 0.005
6.118 1.179 3.924
4.080 4.709 0.005
4.080 4.709 3.924
0.000 4.712 4.191
0.000 4.712 7.597
4.080 2.356 0.262
4.080 2.356 3.668
```

=====

No. 8
PdC2N4 | PBE | relaxed

Output
space group: P2_1/c (14)
calculated formation energy: 1.83 eV/atom
MP2020-corrected energy: -6.307 eV/atom
crystal system: monoclinic

```
PdC2N4
1.0
7.043 0.000 0.000
0.000 13.183 0.000
-3.883 0.000 7.290
Pd C N
4 8 16
Cartesian
0.674 0.201 1.816
-1.267 6.391 5.461
4.427 6.792 1.829
2.486 12.982 5.474
-1.907 8.134 6.127
0.034 11.640 2.482
0.434 7.354 5.208
2.375 12.420 1.563
0.785 0.763 5.726
2.726 5.828 2.081
3.126 1.543 4.808
5.067 5.048 1.163
5.926 1.061 2.095
3.985 5.530 5.740
-0.825 7.653 1.550
-2.766 12.121 5.195
-2.375 9.122 6.557
-0.434 10.652 2.913
1.422 1.956 1.133
-0.519 4.635 4.778
-0.270 1.254 5.895
1.672 5.337 2.250
1.488 7.846 5.040
3.430 11.928 1.395
3.679 8.547 2.511
1.738 11.227 6.156
3.594 2.531 4.377
5.535 4.061 0.732
```

=====

No. 9
Tb7Cu3Te12 | PBE | relaxed

Output
space group: P1 (1)
calculated formation energy: -1.36 eV/atom
MP2020-corrected energy: -5.107 eV/atom
crystal system: triclinic

```
Tb7Cu3Te12
1.0
7.512 0.000 0.000
-3.676 6.553 0.000
-1.266 -2.125 14.152
Tb Cu Te
7 3 12
Cartesian
0.000 0.000 0.000
-2.466 4.389 3.608
-2.472 4.420 10.574
1.282 2.163 3.602
1.302 2.272 10.576
5.024 0.047 3.604
5.030 0.010 10.574
-1.230 2.205 6.081
2.508 0.039 6.089
0.072 4.407 8.158
-1.230 2.210 1.801
-0.011 0.001 5.476
-1.236 2.201 8.776
0.014 0.065 12.415
2.518 0.000 1.804
0.112 4.388 5.435
2.483 0.067 8.778
0.046 4.426 12.406
2.547 4.374 1.796
3.758 2.248 5.466
2.591 4.397 8.755
3.803 2.229 12.412
```

=====

No. 10
Li6VCl8 | PBE | relaxed

Output
space group: Fm-3m (225)
calculated formation energy: -2.01 eV/atom
MP2020-corrected energy: -4.365 eV/atom
crystal system: cubic

```
Li6VCl8
1.0
0.000 5.166 5.166
5.166 0.000 5.166
5.166 5.166 0.000
Li V Cl
6 1 8
Cartesian
2.583 2.583 0.000
2.583 0.000 2.583
5.166 2.583 2.583
0.000 2.583 2.583
2.583 5.166 2.583
2.583 2.583 5.166
0.000 0.000 0.000
5.166 5.166 2.483
5.166 2.483 5.166
7.848 5.166 5.166
2.583 2.583 2.583
7.748 7.748 7.748
2.483 5.166 5.166
5.166 7.848 5.166
5.166 5.166 7.848
```

=====

No. 11
BaSrI4 | PBE | relaxed

Output
space group: Pnma (62)
calculated formation energy: -1.98 eV/atom
MP2020-corrected energy: -3.599 eV/atom
crystal system: orthorhombic

```
BaSrI4
1.0
10.294 0.000 0.000
0.000 11.252 0.000
0.000 0.000 11.231
Ba Sr I
4 4 16
Cartesian
0.018 2.813 2.747
5.129 8.439 8.362
5.165 2.813 2.869
10.276 8.439 8.485
2.469 8.439 2.811
2.678 2.813 8.427
7.616 8.439 2.804
7.826 2.813 8.420
0.099 0.689 8.349
0.099 4.937 8.349
2.515 8.439 6.124
2.556 2.813 5.111
2.591 8.439 10.726
2.632 2.813 0.508
5.048 6.315 2.733
5.048 10.564 2.733
5.246 0.689 8.498
5.246 4.937 8.498
7.662 8.439 10.723
7.703 2.813 0.505
7.738 8.439 6.121
7.779 2.813 5.107
10.195 6.315 2.883
10.195 10.564 2.883
```

=====

No. 12
Sr2H4Pd | PBE | relaxed

Output
space group: Pnma (62)
calculated formation energy: -0.54 eV/atom
crystal system: orthorhombic

```
Sr2H4Pd
1.0
7.650 0.000 0.000
0.000 5.521 0.000
0.000 0.000 9.746
Sr H Pd
8 16 4
Cartesian
0.068 1.380 1.644
1.147 4.140 3.981
2.678 1.380 8.854
3.757 4.140 6.517
3.893 1.380 3.228
4.972 4.140 0.892
6.502 1.380 5.765
7.582 4.140 8.101
0.060 4.140 0.980
1.341 1.380 4.007
1.349 2.846 6.433
1.349 5.435 6.433
2.476 0.085 1.560
2.476 2.675 1.560
2.484 4.140 8.880
3.765 1.380 5.853
3.885 4.140 3.893
5.166 1.380 0.866
5.173 2.846 8.186
5.173 5.435 8.186
6.301 0.085 3.313
6.301 2.675 3.313
6.309 4.140 5.739
7.590 1.380 8.766
1.832 4.140 0.820
1.993 1.380 5.693
5.657 4.140 4.053
5.818 1.380 8.926
```

=====

The lowest calculated formation energy belongs to which entry? Li2Ti3SbO8